1.
Compound: Dy2Hf2Mo7O28
Source: Materials Project
Functional: PBE with a Hubbard U
Structure: relaxed

POSCAR file:
```
Dy2Hf2Mo7O28
1.0
4.9815 10.5707 0.0000
-4.9815 10.5707 0.0000
0.0000 5.4198 12.9522
Dy Hf Mo O
4 4 14 56
Direct
0.3522 0.3756 0.9360
0.6478 0.6244 0.0640
0.3756 0.3522 0.4360
0.6244 0.6478 0.5640
0.9178 0.8481 0.1880
0.1519 0.0822 0.3120
0.0822 0.1519 0.8120
0.8481 0.9178 0.6880
0.2746 0.0440 0.0234
0.0440 0.2746 0.5234
0.5673 0.3116 0.6466
0.5136 0.9988 0.3292
0.7942 0.2058 0.2500
0.0012 0.4864 0.1708
0.4864 0.0012 0.6708
0.7254 0.9560 0.9766
0.2058 0.7942 0.7500
0.3116 0.5673 0.1466
0.9988 0.5136 0.8292
0.4327 0.6884 0.3534
0.9560 0.7254 0.4766
0.6884 0.4327 0.8534
0.3012 0.4914 0.2808
0.4685 0.5740 0.1029
0.5740 0.4685 0.6029
0.6319 0.2451 0.3440
0.9408 0.1434 0.3154
0.4914 0.3012 0.7808
0.7549 0.3681 0.1560
0.6267 0.9850 0.7153
0.8698 0.8940 0.0449
0.0530 0.1978 0.6601
0.0592 0.8566 0.6846
0.0814 0.3057 0.2584
0.3733 0.0150 0.2847
0.9850 0.6267 0.2153
0.8566 0.0592 0.1846
0.1060 0.1302 0.4551
0.5676 0.1420 0.9942
0.2375 0.8611 0.3733
0.8022 0.9470 0.8399
0.1302 0.1060 0.9551
0.1668 0.3289 0.4726
0.4580 0.1156 0.5476
0.3681 0.7549 0.6560
0.4480 0.3339 0.5795
0.4449 0.1798 0.3383
0.5086 0.6988 0.2192
0.4260 0.5315 0.3971
0.1434 0.9408 0.8154
0.8940 0.8698 0.5449
0.6711 0.8332 0.0274
0.4324 0.8580 0.0058
0.5551 0.8202 0.6617
0.8611 0.2375 0.8733
0.5520 0.6661 0.4205
0.3289 0.1668 0.9726
0.8844 0.5420 0.9524
0.8202 0.5551 0.1617
0.5420 0.8844 0.4524
0.1420 0.5676 0.4942
0.0150 0.3733 0.7847
0.3057 0.0814 0.7584
0.6943 0.9186 0.2416
0.1978 0.0530 0.1601
0.9186 0.6943 0.7416
0.8580 0.4324 0.5058
0.5315 0.4260 0.8971
0.1156 0.4580 0.0476
0.6661 0.5520 0.9205
0.1798 0.4449 0.8383
0.1389 0.7625 0.1267
0.7625 0.1389 0.6267
0.3339 0.4480 0.0795
0.9470 0.8022 0.3399
0.2451 0.6319 0.8440
0.8332 0.6711 0.5274
0.6988 0.5086 0.7192
```

Summary:
- Calculated formation energy: -101.0 eV per formula unit
- SG: No. 15



2.
Compound: KDyMo2O8
Source: Materials Project
Functional: PBE with a Hubbard U
Structure: relaxed

POSCAR file:
```
KDyMo2O8
1.0
5.2170 5.3911 0.0000
-5.2170 5.3911 0.0000
0.0000 5.1246 5.8534
K Dy Mo O
2 2 4 16
Direct
0.2001 0.7999 0.7500
0.7999 0.2001 0.2500
0.7710 0.2290 0.7500
0.2290 0.7710 0.2500
0.6954 0.6975 0.7611
0.3046 0.3025 0.2389
0.3025 0.3046 0.7389
0.6975 0.6954 0.2611
0.6134 0.7682 0.5605
0.3866 0.2318 0.4395
0.2318 0.3866 0.9395
0.7682 0.6134 0.0605
0.3832 0.0667 0.8760
0.6168 0.9333 0.1240
0.9333 0.6168 0.6240
0.0667 0.3832 0.3760
0.5858 0.3670 0.9701
0.4142 0.6330 0.0299
0.6330 0.4142 0.5299
0.3670 0.5858 0.4701
0.7937 0.9543 0.6906
0.2063 0.0457 0.3094
0.0457 0.2063 0.8094
0.9543 0.7937 0.1906
```

Summary:
- Calculated formation energy: -30.4 eV per formula unit
- SG: No. 15



Number 1: E_tot -7.77 eV per atom. Number 2: E_tot -7.13 eV per atom.